Entry 1:
The following is a PBE calculation of a relaxed AlCu3Bi4O12 crystal, from Materials Project.

The structure in CIF format:
```
data_AlCu3Bi4O12
_chemical_formula_sum 'Al1 Cu3 Bi4 O12'
_symmetry_space_group_name_H-M 'P 1'
_symmetry_Int_Tables_number 1
_cell_length_a 7.1066
_cell_length_b 7.1066
_cell_length_c 7.1066
_cell_angle_alpha 109.47
_cell_angle_beta 109.47
_cell_angle_gamma 109.47
loop_
_symmetry_equiv_pos_as_xyz
'x,y,z'
loop_
_atom_site_label
_atom_site_type_symbol
_atom_site_fract_x
_atom_site_fract_y
_atom_site_fract_z
Cu1 Cu 0.0000 0.5000 0.5000
Cu2 Cu 0.5000 0.0000 0.5000
Cu3 Cu 0.5000 0.5000 0.0000
O1 O 0.6741 0.8441 0.5181
O2 O 0.1559 0.4819 0.3259
O3 O 0.1700 0.3259 0.8441
O4 O 0.3259 0.1559 0.4819
O5 O 0.5181 0.6741 0.8441
O6 O 0.8441 0.5181 0.6741
O7 O 0.8300 0.6741 0.1559
O8 O 0.1559 0.8300 0.6741
O9 O 0.4819 0.3259 0.1559
O10 O 0.6741 0.1559 0.8300
O11 O 0.3259 0.8441 0.1700
O12 O 0.8441 0.1700 0.3259
Bi1 Bi 0.0000 0.0000 0.5000
Bi2 Bi 0.5000 0.0000 0.0000
Bi3 Bi 0.5000 0.5000 0.5000
Bi4 Bi 0.0000 0.5000 0.0000
Al1 Al 0.0000 0.0000 0.0000
```

Properties
Space-group type ... Im-3 (204)
E (MP2020) ... -5.74 eV per atom

Entry 2:
The following is a PBE calculation of a relaxed Sr2AlCu2BiO7 crystal, from Materials Project.

The structure in CIF format:
```
data_Sr2AlCu2BiO7
_chemical_formula_sum 'Sr4 Al2 Cu4 Bi2 O14'
_symmetry_space_group_name_H-M 'P 1'
_symmetry_Int_Tables_number 1
_cell_length_a 5.2911
_cell_length_b 5.3259
_cell_length_c 13.0094
_cell_angle_alpha 101.80
_cell_angle_beta 101.69
_cell_angle_gamma 90.07
loop_
_symmetry_equiv_pos_as_xyz
'x,y,z'
loop_
_atom_site_label
_atom_site_type_symbol
_atom_site_fract_x
_atom_site_fract_y
_atom_site_fract_z
Sr1 Sr 0.3336 0.3670 0.7250
Sr2 Sr 0.6134 0.6345 0.2765
Sr3 Sr 0.8337 0.8605 0.7249
Sr4 Sr 0.1132 0.1431 0.2764
O1 O 0.2515 0.2733 0.9018
O2 O 0.7136 0.3761 0.1032
O3 O 0.7518 0.1315 0.9009
O4 O 0.3593 0.7284 0.1005
O5 O 0.1596 0.3387 0.5011
O6 O 0.8586 0.8754 0.0995
O7 O 0.8204 0.3466 0.6852
O8 O 0.6393 0.1612 0.3168
O9 O 0.6601 0.6653 0.5009
O10 O 0.2138 0.2313 0.1038
O11 O 0.3202 0.8429 0.6851
O12 O 0.6031 0.6257 0.8977
O13 O 0.1038 0.7760 0.8981
O14 O 0.1381 0.6584 0.3167
Bi1 Bi 0.7441 0.2594 0.5009
Bi2 Bi 0.2446 0.7446 0.5008
Cu1 Cu 0.4247 0.9455 0.8901
Cu2 Cu 0.0404 0.5588 0.1109
Cu3 Cu 0.5407 0.0559 0.1110
Cu4 Cu 0.9243 0.4488 0.8899
Al1 Al 0.9870 0.0081 0.0006
Al2 Al 0.4864 0.4983 0.0008
```

Properties
Space-group type ... P1 (1)
E (MP2020) ... -6.33 eV per atom

Entry 3:
The following is a PBE calculation of a relaxed SrEuAlBiO6 crystal, from Materials Project.

The structure in CIF format:
```
data_SrEuAlBiO6
_chemical_formula_sum 'Sr1 Eu1 Al1 Bi1 O6'
_symmetry_space_group_name_H-M 'P 1'
_symmetry_Int_Tables_number 1
_cell_length_a 5.7484
_cell_length_b 5.7484
_cell_length_c 5.7484
_cell_angle_alpha 60.00
_cell_angle_beta 60.00
_cell_angle_gamma 60.00
loop_
_symmetry_equiv_pos_as_xyz
'x,y,z'
loop_
_atom_site_label
_atom_site_type_symbol
_atom_site_fract_x
_atom_site_fract_y
_atom_site_fract_z
Eu1 Eu 0.2500 0.2500 0.2500
Al1 Al 0.0000 0.0000 0.0000
O1 O 0.2364 0.7636 0.7636
O2 O 0.7636 0.2364 0.7636
O3 O 0.2364 0.2364 0.7636
O4 O 0.2364 0.7636 0.2364
O5 O 0.7636 0.2364 0.2364
O6 O 0.7636 0.7636 0.2364
Bi1 Bi 0.5000 0.5000 0.5000
Sr1 Sr 0.7500 0.7500 0.7500
```

Properties
Space-group type ... F-43m (216)
E (MP2020) ... -7.57 eV per atom

Entry 4:
The following is a PBE calculation of a relaxed Mg14AlBi crystal, from Materials Project.

The structure in CIF format:
```
data_Mg14AlBi
_chemical_formula_sum 'Mg14 Al1 Bi1'
_symmetry_space_group_name_H-M 'P 1'
_symmetry_Int_Tables_number 1
_cell_length_a 6.4264
_cell_length_b 6.4264
_cell_length_c 10.3767
_cell_angle_alpha 90.00
_cell_angle_beta 90.00
_cell_angle_gamma 120.00
loop_
_symmetry_equiv_pos_as_xyz
'x,y,z'
loop_
_atom_site_label
_atom_site_type_symbol
_atom_site_fract_x
_atom_site_fract_y
_atom_site_fract_z
Mg1 Mg 0.3351 0.6703 0.8806
Mg2 Mg 0.3351 0.6703 0.3694
Mg3 Mg 0.3351 0.1649 0.8806
Mg4 Mg 0.8297 0.1649 0.8806
Mg5 Mg 0.6670 0.3340 0.6250
Mg6 Mg 0.6669 0.3338 0.1250
Mg7 Mg 0.8333 0.6667 0.8743
Mg8 Mg 0.6669 0.8331 0.1250
Mg9 Mg 0.6670 0.8330 0.6250
Mg10 Mg 0.1660 0.8330 0.6250
Mg11 Mg 0.3351 0.1649 0.3694
Mg12 Mg 0.1662 0.8331 0.1250
Mg13 Mg 0.8333 0.6667 0.3757
Mg14 Mg 0.8297 0.1649 0.3694
Al1 Al 0.1667 0.3333 0.1250
Bi1 Bi 0.1667 0.3333 0.6250
```

Properties
E above lowest polymorph ... 0.000 eV per atom
Space-group type ... P-6m2 (187)

Entry 5:
The following is a PBE calculation of a relaxed Mg14AlBi crystal, from Materials Project.

The structure in CIF format:
```
data_Mg14AlBi
_chemical_formula_sum 'Mg14 Al1 Bi1'
_symmetry_space_group_name_H-M 'P 1'
_symmetry_Int_Tables_number 1
_cell_length_a 6.3407
_cell_length_b 6.6307
_cell_length_c 10.3691
_cell_angle_alpha 90.00
_cell_angle_beta 90.00
_cell_angle_gamma 121.53
loop_
_symmetry_equiv_pos_as_xyz
'x,y,z'
loop_
_atom_site_label
_atom_site_type_symbol
_atom_site_fract_x
_atom_site_fract_y
_atom_site_fract_z
Mg1 Mg 0.6675 0.3333 0.6250
Mg2 Mg 0.3324 0.6584 0.8743
Mg3 Mg 0.1688 0.3344 0.6250
Mg4 Mg 0.8371 0.1685 0.8788
Mg5 Mg 0.6690 0.8349 0.1250
Mg6 Mg 0.8371 0.1685 0.3712
Mg7 Mg 0.3324 0.1740 0.8743
Mg8 Mg 0.8289 0.6645 0.8694
Mg9 Mg 0.1698 0.8349 0.6250
Mg10 Mg 0.3324 0.6584 0.3757
Mg11 Mg 0.8289 0.6645 0.3806
Mg12 Mg 0.3324 0.1740 0.3757
Mg13 Mg 0.6690 0.3341 0.1250
Mg14 Mg 0.6675 0.8342 0.6250
Al1 Al 0.1636 0.3318 0.1250
Bi1 Bi 0.1633 0.8316 0.1250
```

Properties
E above lowest polymorph ... 0.017 eV per atom
Space-group type ... Amm2 (38)

Entry 6:
The following is a PBE calculation of a relaxed AlBiO3 crystal, from Materials Project.

The structure in CIF format:
```
data_AlBiO3
_chemical_formula_sum 'Al4 Bi4 O12'
_symmetry_space_group_name_H-M 'P 1'
_symmetry_Int_Tables_number 1
_cell_length_a 5.3849
_cell_length_b 5.3960
_cell_length_c 9.4246
_cell_angle_alpha 90.00
_cell_angle_beta 90.00
_cell_angle_gamma 90.00
loop_
_symmetry_equiv_pos_as_xyz
'x,y,z'
loop_
_atom_site_label
_atom_site_type_symbol
_atom_site_fract_x
_atom_site_fract_y
_atom_site_fract_z
O1 O 0.3735 0.6312 0.3991
O2 O 0.6265 0.3688 0.6009
O3 O 0.8735 0.8688 0.6009
O4 O 0.3319 0.7849 0.7500
O5 O 0.8319 0.7151 0.2500
O6 O 0.8735 0.8688 0.8991
O7 O 0.6265 0.3688 0.8991
O8 O 0.1681 0.2849 0.7500
O9 O 0.6681 0.2151 0.2500
O10 O 0.3735 0.6312 0.1009
O11 O 0.1265 0.1312 0.3991
O12 O 0.1265 0.1312 0.1009
Al1 Al 0.5417 0.5306 0.2500
Al2 Al 0.0417 0.9694 0.7500
Al3 Al 0.9583 0.0306 0.2500
Al4 Al 0.4583 0.4694 0.7500
Bi1 Bi 0.0000 0.5000 0.5000
Bi2 Bi 0.0000 0.5000 0.0000
Bi3 Bi 0.5000 0.0000 0.0000
Bi4 Bi 0.5000 0.0000 0.5000
```

Properties
Space-group type ... Pnma (62)
E (MP2020) ... -6.81 eV per atom

Number 1: ρ 7.49 g cm⁻³, DFT formation energy -1.19 eV per atom. Number 2: ρ 6.15 g cm⁻³, DFT formation energy -2.19 eV per atom. Number 3: ρ 7.07 g cm⁻³, DFT formation energy -2.64 eV per atom. Number 4: ρ 2.58 g cm⁻³, DFT formation energy -0.01 eV per atom. Number 5: ρ 2.57 g cm⁻³, DFT formation energy 0.01 eV per atom. Number 6: ρ 6.89 g cm⁻³, DFT formation energy -2.32 eV per atom.